## CrIr3 (r2SCAN)

Data for CrIr3 after structural relaxation.

```
8
Lattice="5.425 0.000 0.000 -2.713 4.698 0.000 0.000 0.000 4.319" Properties=species:S:1:pos:R:3 pbc="T T T"
Cr 0.000 3.132 1.080
Cr 2.713 1.566 3.239
Ir 0.000 1.577 3.239
Ir -1.347 3.910 3.239
Ir 1.366 0.789 1.080
Ir 1.347 3.910 3.239
Ir 4.059 0.789 1.080
Ir 2.713 3.121 1.080
```

Computed properties:
Space-group type   P6_3/mmc
Final energy   -43.26 eV per atom
Calculated density   18.96 g/cm3
Size of the total moment   1.91 μB/cell
Energy of formation   -0.2173 eV per atom